1.
The following is a DFT calculation (PBE-GGA) of Pm3Y after structural relaxation.

Cell: 7.3286 7.3286 5.9283 Å, 90.00 90.00 120.00°
Last column: nearest neighbours and their distance in Å.
Fractional positions:
Pm 0.1668 0.3337 0.2500  4 Y 3.64-3.66, 8 Pm 3.64-3.67
Pm 0.6663 0.8332 0.2500  4 Y 3.64-3.66, 8 Pm 3.64-3.67
Pm 0.1668 0.8332 0.2500  4 Y 3.64-3.66, 8 Pm 3.64-3.67
Pm 0.8332 0.6663 0.7500  4 Y 3.64-3.66, 8 Pm 3.64-3.67
Pm 0.3337 0.1668 0.7500  4 Y 3.64-3.66, 8 Pm 3.64-3.67
Pm 0.8332 0.1668 0.7500  4 Y 3.64-3.66, 8 Pm 3.64-3.67
Y 0.3333 0.6667 0.7500  12 Pm 3.64-3.66
Y 0.6667 0.3333 0.2500  12 Pm 3.64-3.66

Properties
* space group: P6_3/mmc
* ΔH_f (0 K): 0.02 eV per atom
* V: 34.5 A^3/atom


2.
The following is a DFT calculation (PBE-GGA) of KCaYSeO6 after structural relaxation.

Cell: 5.7035 5.7035 5.7035 Å, 60.00 60.00 60.00°
Last column: nearest neighbours and their distance in Å.
Fractional positions:
K 0.2500 0.2500 0.2500  12 O 2.86
Ca 0.7500 0.7500 0.7500  12 O 2.86
Y 0.5000 0.5000 0.5000  6 O 2.21
Se 0.0000 0.0000 0.0000  6 O 1.82
O 0.7741 0.2259 0.2259  1 Se 1.82
O 0.2259 0.7741 0.7741  1 Se 1.82
O 0.7741 0.2259 0.7741  1 Se 1.82
O 0.2259 0.7741 0.2259  1 Se 1.82
O 0.7741 0.7741 0.2259  1 Se 1.82
O 0.2259 0.2259 0.7741  1 Se 1.82

Properties
* space group: F-43m
* ΔH_f (0 K): -2.39 eV per atom
* V: 13.1 A^3/atom


3.
The following is a DFT calculation (PBE-GGA) of Lu3Tl after structural relaxation.

Cell: 6.7531 6.7531 5.5249 Å, 90.00 90.00 120.00°
Last column: nearest neighbours and their distance in Å.
Fractional positions:
Lu 0.1678 0.3355 0.2500  8 Lu 3.35-3.40, 4 Tl 3.37-3.38
Lu 0.6645 0.8322 0.2500  8 Lu 3.35-3.40, 4 Tl 3.37-3.38
Lu 0.1678 0.8322 0.2500  8 Lu 3.35-3.40, 4 Tl 3.37-3.38
Lu 0.8322 0.6645 0.7500  8 Lu 3.35-3.40, 4 Tl 3.37-3.38
Lu 0.3355 0.1678 0.7500  8 Lu 3.35-3.40, 4 Tl 3.37-3.38
Lu 0.8322 0.1678 0.7500  8 Lu 3.35-3.40, 4 Tl 3.37-3.38
Tl 0.3333 0.6667 0.7500  12 Lu 3.37-3.38
Tl 0.6667 0.3333 0.2500  12 Lu 3.37-3.38

Properties
* space group: P6_3/mmc
* ΔH_f (0 K): -0.14 eV per atom
* V: 27.3 A^3/atom